# Al2CrB2Mo, optimized geometry, DFT GGA-PBE
# - Density: 5.57 Mg/m³
# - Calculated formation energy: -0.393 eV/atom
# - Magnetic moment: 0.0 μB per cell
data_Al2CrB2Mo
_space_group_name_H-M_alt 'A m m 2'
_space_group_IT_number 38
_cell_length_a 3.059
_cell_length_b 3.138
_cell_length_c 13.872
_cell_angle_alpha 90.00
_cell_angle_beta 90.00
_cell_angle_gamma 90.00
loop_
_space_group_symop_operation_xyz
'x,y,z'
'-x,-y,z'
'-x,y,z'
'x,-y,z'
'x,y+1/2,z+1/2'
'-x,-y+1/2,z+1/2'
'-x,y+1/2,z+1/2'
'x,-y+1/2,z+1/2'
loop_
_atom_site_label
_atom_site_type_symbol
_atom_site_fract_x
_atom_site_fract_y
_atom_site_fract_z
Al1 Al 0.000 0.000 0.000
Al2 Al 0.500 0.000 0.393
Cr1 Cr 0.000 0.000 0.786
B1 B 0.000 0.000 0.171
B2 B 0.500 0.000 0.236
Mo1 Mo 0.500 0.000 0.612